Here is a relaxed BaAl2Ge2O8 crystal from the Materials Project database. Energies are from r2SCAN.

Cell: 9.5750 9.5750 8.8417 Å, 97.85 97.85 88.99°
Last column: nearest neighbours and their distance in Å.
Atoms (fractional coordinates):
Ba: 0.0656 0.5662 0.7888  7 O 2.64-2.93
Ba: 0.4338 0.9344 0.7112  7 O 2.64-2.93
Ba: 0.5662 0.0656 0.2888  7 O 2.64-2.93
Ba: 0.9344 0.4338 0.2112  7 O 2.64-2.93
Al: 0.0541 0.7924 0.4746  4 O 1.74-1.75
Al: 0.2076 0.9459 0.0254  4 O 1.74-1.75
Al: 0.2939 0.4322 0.1087  4 O 1.74-1.76
Al: 0.4322 0.2939 0.6087  4 O 1.74-1.76
Al: 0.5678 0.7061 0.3913  4 O 1.74-1.76
Al: 0.7061 0.5678 0.8913  4 O 1.74-1.76
Al: 0.7924 0.0541 0.9746  4 O 1.74-1.75
Al: 0.9459 0.2076 0.5254  4 O 1.74-1.75
Ge: 0.0699 0.2076 0.8942  4 O 1.73-1.76
Ge: 0.2076 0.0699 0.3942  4 O 1.73-1.76
Ge: 0.2913 0.5555 0.4771  4 O 1.74-1.75
Ge: 0.4445 0.7087 0.0229  4 O 1.74-1.75
Ge: 0.5555 0.2913 0.9771  4 O 1.74-1.75
Ge: 0.7087 0.4445 0.5229  4 O 1.74-1.75
Ge: 0.7924 0.9301 0.6058  4 O 1.73-1.76
Ge: 0.9301 0.7924 0.1058  4 O 1.73-1.76
O: 0.0230 0.2607 0.7138  1 Ge 1.74, 1 Al 1.74
O: 0.0668 0.1858 0.3918  1 Ge 1.73, 1 Al 1.75
O: 0.0714 0.8242 0.0087  1 Al 1.74, 1 Ge 1.75
O: 0.1342 0.3675 0.0013  1 Al 1.76, 1 Ge 1.76
O: 0.1443 0.6463 0.5387  1 Al 1.75, 1 Ge 1.75
O: 0.1758 0.9286 0.4913  1 Al 1.74, 1 Ge 1.75
O: 0.1858 0.0668 0.8918  1 Ge 1.73, 1 Al 1.75
O: 0.2389 0.4762 0.2891  1 Ge 1.74, 1 Al 1.74
O: 0.2607 0.0230 0.2138  1 Ge 1.74, 1 Al 1.74
O: 0.3183 0.4369 0.6114  1 Al 1.74, 1 Ge 1.74
O: 0.3226 0.5731 0.0088  1 Ge 1.74, 1 Al 1.75
O: 0.3537 0.8557 0.9613  1 Al 1.75, 1 Ge 1.75
O: 0.3675 0.1342 0.5013  1 Al 1.76, 1 Ge 1.76
O: 0.4269 0.6774 0.4912  1 Ge 1.74, 1 Al 1.75
O: 0.4369 0.3183 0.1114  1 Al 1.74, 1 Ge 1.74
O: 0.4762 0.2389 0.7891  1 Ge 1.74, 1 Al 1.74
O: 0.5238 0.7611 0.2109  1 Ge 1.74, 1 Al 1.74
O: 0.5631 0.6817 0.8886  1 Al 1.74, 1 Ge 1.74
O: 0.5731 0.3226 0.5088  1 Ge 1.74, 1 Al 1.75
O: 0.6325 0.8658 0.4987  1 Al 1.76, 1 Ge 1.76
O: 0.6463 0.1443 0.0387  1 Al 1.75, 1 Ge 1.75
O: 0.6774 0.4269 0.9912  1 Ge 1.74, 1 Al 1.75
O: 0.6817 0.5631 0.3886  1 Al 1.74, 1 Ge 1.74
O: 0.7393 0.9770 0.7862  1 Ge 1.74, 1 Al 1.74
O: 0.7611 0.5238 0.7109  1 Ge 1.74, 1 Al 1.74
O: 0.8142 0.9332 0.1082  1 Ge 1.73, 1 Al 1.75
O: 0.8242 0.0714 0.5087  1 Al 1.74, 1 Ge 1.75
O: 0.8557 0.3537 0.4613  1 Al 1.75, 1 Ge 1.75
O: 0.8658 0.6325 0.9987  1 Al 1.76, 1 Ge 1.76
O: 0.9286 0.1758 0.9913  1 Al 1.74, 1 Ge 1.75
O: 0.9332 0.8142 0.6082  1 Ge 1.73, 1 Al 1.75
O: 0.9770 0.7393 0.2862  1 Ge 1.74, 1 Al 1.74

Calculated values
The calculated total energy comes out at -11.578 eV per atom. Its volume is 15.30 A^3/atom. As for the symmetry: C2/c.